(1)
Density functional theory data (r2SCAN) for crystalline PrBPt3 at its relaxed geometry.

```
PrBPt3
1.0
4.0363 0.0000 0.0000
0.0000 4.0363 0.0000
0.0000 0.0000 5.1024
Pr B Pt
1 1 3
direct
0.0000 0.0000 0.0000 Pr
0.5000 0.5000 0.7033 B
0.0000 0.5000 0.5168 Pt
0.5000 0.0000 0.5168 Pt
0.5000 0.5000 0.1162 Pt
```

Calculated values
Crystal system: tetragonal
Energy of formation from the pure elements (eV/atom): -0.95
Space-group type: P4mm, No. 99



(2)
Density functional theory data (r2SCAN) for crystalline Pr4B3Rh12 at its relaxed geometry.

```
Pr4B3Rh12
1.0
4.2440 0.0000 0.0000
0.0000 4.2440 0.0000
0.0000 0.0000 16.5593
Pr B Rh
4 3 12
direct
0.0000 0.0000 0.1206 Pr
0.0000 0.0000 0.3738 Pr
0.0000 0.0000 0.6262 Pr
0.0000 0.0000 0.8794 Pr
0.5000 0.5000 0.2372 B
0.5000 0.5000 0.5000 B
0.5000 0.5000 0.7628 B
0.0000 0.5000 0.0000 Rh
0.0000 0.5000 0.2471 Rh
0.0000 0.5000 0.5000 Rh
0.0000 0.5000 0.7529 Rh
0.5000 0.0000 0.0000 Rh
0.5000 0.0000 0.2471 Rh
0.5000 0.0000 0.5000 Rh
0.5000 0.0000 0.7529 Rh
0.5000 0.5000 0.1130 Rh
0.5000 0.5000 0.3709 Rh
0.5000 0.5000 0.6291 Rh
0.5000 0.5000 0.8870 Rh
```

Calculated values
Crystal system: tetragonal
Energy of formation from the pure elements (eV/atom): -0.64
Space-group type: P4/mmm, No. 123



(3)
Density functional theory data (r2SCAN) for crystalline PrBRh3 at its relaxed geometry.

```
PrBRh3
1.0
4.2462 0.0000 0.0000
0.0000 4.2462 0.0000
0.0000 0.0000 4.2462
Pr B Rh
1 1 3
direct
0.0000 0.0000 0.0000 Pr
0.5000 0.5000 0.5000 B
0.0000 0.5000 0.5000 Rh
0.5000 0.0000 0.5000 Rh
0.5000 0.5000 0.0000 Rh
```

Calculated values
Crystal system: cubic
Energy of formation from the pure elements (eV/atom): -0.71
Space-group type: Pm-3m, No. 221



(4)
Density functional theory data (r2SCAN) for crystalline PrSmB12 at its relaxed geometry.

```
PrSmB12
1.0
5.8369 0.0000 0.0000
0.0000 5.8369 0.0000
0.0000 0.0000 4.1227
Pr Sm B
1 1 12
direct
0.0000 0.0000 0.0000 Pr
0.5000 0.5000 0.0000 Sm
0.0000 0.5000 0.1997 B
0.0000 0.5000 0.8003 B
0.1505 0.3500 0.5000 B
0.1505 0.6500 0.5000 B
0.3500 0.1505 0.5000 B
0.3500 0.8495 0.5000 B
0.5000 0.0000 0.1997 B
0.5000 0.0000 0.8003 B
0.6500 0.1505 0.5000 B
0.6500 0.8495 0.5000 B
0.8495 0.3500 0.5000 B
0.8495 0.6500 0.5000 B
```

Calculated values
Crystal system: tetragonal
Energy of formation from the pure elements (eV/atom): -0.54
Space-group type: P4/mmm, No. 123



(5)
Density functional theory data (r2SCAN) for crystalline BPt2 at its relaxed geometry.

```
BPt2
1.0
1.5019 -2.4714 0.0000
1.5019 2.4714 0.0000
0.0000 0.0000 10.3498
B Pt
2 4
direct
0.1715 0.8285 0.7500 B
0.8285 0.1715 0.2500 B
0.1696 0.8304 0.1161 Pt
0.1696 0.8304 0.3839 Pt
0.8304 0.1696 0.6161 Pt
0.8304 0.1696 0.8839 Pt
```

Calculated values
Crystal system: orthorhombic
Energy of formation from the pure elements (eV/atom): -0.21
Space-group type: Cmcm, No. 63



(6)
Density functional theory data (r2SCAN) for crystalline BPt2 at its relaxed geometry.

```
BPt2
1.0
2.9283 0.0000 0.0000
-1.4642 2.5360 0.0000
0.0000 0.0000 10.3572
B Pt
2 4
direct
0.3333 0.6667 0.2500 B
0.6667 0.3333 0.7500 B
0.3333 0.6667 0.6162 Pt
0.3333 0.6667 0.8838 Pt
0.6667 0.3333 0.1162 Pt
0.6667 0.3333 0.3838 Pt
```

Calculated values
Crystal system: hexagonal
Energy of formation from the pure elements (eV/atom): -0.20
Space-group type: P6_3/mmc, No. 194



(7)
Density functional theory data (r2SCAN) for crystalline YBPt2 at its relaxed geometry.

```
YBPt2
1.0
5.3286 0.0000 0.0000
-2.6643 4.6147 0.0000
0.0000 0.0000 7.9574
Y B Pt
3 3 6
direct
0.0000 0.5000 0.1667 Y
0.5000 0.0000 0.5000 Y
0.5000 0.5000 0.8333 Y
0.0000 0.5000 0.6667 B
0.5000 0.0000 0.0000 B
0.5000 0.5000 0.3333 B
0.1524 0.3048 0.5000 Pt
0.1524 0.8476 0.8333 Pt
0.3048 0.1524 0.1667 Pt
0.6952 0.8476 0.1667 Pt
0.8476 0.1524 0.8333 Pt
0.8476 0.6952 0.5000 Pt
```

Calculated values
Crystal system: hexagonal
Energy of formation from the pure elements (eV/atom): -1.11
Space-group type: P6_222, No. 180



(8)
Density functional theory data (r2SCAN) for crystalline PuB12 at its relaxed geometry.

```
PuB12
1.0
0.0000 3.7344 3.7344
3.7344 0.0000 3.7344
3.7344 3.7344 0.0000
Pu B
1 12
direct
0.0000 0.0000 0.0000 Pu
0.1616 0.5000 0.5000 B
0.1616 0.5000 0.8384 B
0.1616 0.8384 0.5000 B
0.5000 0.1616 0.5000 B
0.5000 0.1616 0.8384 B
0.5000 0.5000 0.1616 B
0.5000 0.5000 0.8384 B
0.5000 0.8384 0.1616 B
0.5000 0.8384 0.5000 B
0.8384 0.1616 0.5000 B
0.8384 0.5000 0.1616 B
0.8384 0.5000 0.5000 B
```

Calculated values
Crystal system: cubic
Energy of formation from the pure elements (eV/atom): -0.29
Space-group type: Fm-3m, No. 225



(9)
Density functional theory data (r2SCAN) for crystalline PuB2Rh3 at its relaxed geometry.

```
PuB2Rh3
1.0
5.6205 0.0000 0.0000
-2.8103 4.8675 0.0000
0.0000 0.0000 2.8963
Pu B Rh
1 2 3
direct
0.0000 0.0000 0.0000 Pu
0.3333 0.6667 0.0000 B
0.6667 0.3333 0.0000 B
0.0000 0.5000 0.5000 Rh
0.5000 0.0000 0.5000 Rh
0.5000 0.5000 0.5000 Rh
```

Calculated values
Crystal system: hexagonal
Energy of formation from the pure elements (eV/atom): -0.72
Space-group type: P6/mmm, No. 191



(10)
Density functional theory data (r2SCAN) for crystalline PuB2Ru at its relaxed geometry.

```
PuB2Ru
1.0
5.7812 0.0000 0.0000
0.0000 5.3650 0.0000
0.0000 0.0000 6.4335
Pu B Ru
4 8 4
direct
0.0018 0.2500 0.1570 Pu
0.4982 0.7500 0.6570 Pu
0.5018 0.2500 0.3430 Pu
0.9982 0.7500 0.8430 Pu
0.1270 0.0883 0.5362 B
0.1270 0.4117 0.5362 B
0.3730 0.5883 0.0362 B
0.3730 0.9117 0.0362 B
0.6270 0.0883 0.9638 B
0.6270 0.4117 0.9638 B
0.8730 0.5883 0.4638 B
0.8730 0.9117 0.4638 B
0.1924 0.7500 0.3155 Ru
0.3076 0.2500 0.8155 Ru
0.6924 0.7500 0.1845 Ru
0.8076 0.2500 0.6845 Ru
```

Calculated values
Crystal system: orthorhombic
Energy of formation from the pure elements (eV/atom): -0.60
Space-group type: Pnma, No. 62



(11)
Density functional theory data (r2SCAN) for crystalline Pu2B6Ru at its relaxed geometry.

```
Pu2B6Ru
1.0
9.4295 0.0000 0.0000
0.0000 11.5221 0.0000
0.0000 0.0000 3.5931
Pu B Ru
8 24 4
direct
0.0465 0.1114 0.0000 Pu
0.1623 0.4075 0.0000 Pu
0.3377 0.9075 0.0000 Pu
0.4535 0.6114 0.0000 Pu
0.5465 0.3886 0.0000 Pu
0.6623 0.0925 0.0000 Pu
0.8377 0.5925 0.0000 Pu
0.9535 0.8886 0.0000 Pu
0.0094 0.2828 0.5000 B
0.0530 0.5693 0.5000 B
0.1446 0.8106 0.5000 B
0.1452 0.9595 0.5000 B
0.1999 0.2265 0.5000 B
0.2429 0.5772 0.5000 B
0.2571 0.0772 0.5000 B
0.3001 0.7265 0.5000 B
0.3554 0.3106 0.5000 B
0.3548 0.4595 0.5000 B
0.4470 0.0693 0.5000 B
0.4906 0.7828 0.5000 B
0.5094 0.2172 0.5000 B
0.5530 0.9307 0.5000 B
0.6452 0.5405 0.5000 B
0.6446 0.6894 0.5000 B
0.6999 0.2735 0.5000 B
0.7429 0.9228 0.5000 B
0.7571 0.4228 0.5000 B
0.8001 0.7735 0.5000 B
0.8548 0.0405 0.5000 B
0.8554 0.1894 0.5000 B
0.9470 0.4307 0.5000 B
0.9906 0.7172 0.5000 B
0.1456 0.6793 0.0000 Ru
0.3544 0.1793 0.0000 Ru
0.6456 0.8207 0.0000 Ru
0.8544 0.3207 0.0000 Ru
```

Calculated values
Crystal system: orthorhombic
Energy of formation from the pure elements (eV/atom): -0.61
Space-group type: Pbam, No. 55



(12)
Density functional theory data (r2SCAN) for crystalline PuB4Ru at its relaxed geometry.

```
PuB4Ru
1.0
3.6910 -4.7202 0.0000
3.6910 4.7202 0.0000
0.0000 0.0000 3.5369
Pu B Ru
2 8 2
direct
0.1999 0.8001 0.0000 Pu
0.8001 0.1999 0.0000 Pu
0.1214 0.4363 0.5000 B
0.1253 0.1253 0.5000 B
0.4089 0.5911 0.5000 B
0.4363 0.1214 0.5000 B
0.5637 0.8786 0.5000 B
0.5911 0.4089 0.5000 B
0.8747 0.8747 0.5000 B
0.8786 0.5637 0.5000 B
0.3156 0.3156 0.0000 Ru
0.6844 0.6844 0.0000 Ru
```

Calculated values
Crystal system: orthorhombic
Energy of formation from the pure elements (eV/atom): -0.63
Space-group type: Cmmm, No. 65



(13)
Density functional theory data (r2SCAN) for crystalline PuTcB2 at its relaxed geometry.

```
PuTcB2
1.0
5.3257 0.0000 0.0000
0.0000 6.4434 0.0000
-0.0272 0.0000 5.8919
Pu Tc B
4 4 8
direct
0.2448 0.1575 0.0037 Pu
0.2448 0.3425 0.5037 Pu
0.7552 0.6575 0.4963 Pu
0.7552 0.8425 0.9963 Pu
0.2506 0.6886 0.1841 Tc
0.2506 0.8114 0.6841 Tc
0.7494 0.1886 0.3159 Tc
0.7494 0.3114 0.8159 Tc
0.0799 0.5374 0.8719 B
0.0799 0.9626 0.3719 B
0.4168 0.5362 0.8727 B
0.4168 0.9638 0.3727 B
0.5832 0.0362 0.6273 B
0.5832 0.4638 0.1273 B
0.9201 0.0374 0.6281 B
0.9201 0.4626 0.1281 B
```

Calculated values
Crystal system: monoclinic
Energy of formation from the pure elements (eV/atom): -0.53
Space-group type: P2_1/c, No. 14



(14)
Density functional theory data (r2SCAN) for crystalline PuTcB4 at its relaxed geometry.

```
PuTcB4
1.0
5.9767 0.0000 0.0000
0.0000 11.5813 0.0000
0.0000 0.0000 3.5842
Pu Tc B
4 4 16
direct
0.1263 0.1507 0.0000 Pu
0.3737 0.6507 0.0000 Pu
0.6263 0.3493 0.0000 Pu
0.8737 0.8493 0.0000 Pu
0.1346 0.4096 0.0000 Tc
0.3654 0.9096 0.0000 Tc
0.6346 0.0904 0.0000 Tc
0.8654 0.5904 0.0000 Tc
0.0243 0.6914 0.5000 B
0.1131 0.5466 0.5000 B
0.1365 0.9684 0.5000 B
0.2136 0.8142 0.5000 B
0.2864 0.3142 0.5000 B
0.3635 0.4684 0.5000 B
0.3869 0.0466 0.5000 B
0.4757 0.1914 0.5000 B
0.5243 0.8086 0.5000 B
0.6131 0.9534 0.5000 B
0.6365 0.5316 0.5000 B
0.7136 0.6858 0.5000 B
0.7864 0.1858 0.5000 B
0.8635 0.0316 0.5000 B
0.8869 0.4534 0.5000 B
0.9757 0.3086 0.5000 B
```

Calculated values
Crystal system: orthorhombic
Energy of formation from the pure elements (eV/atom): -0.63
Space-group type: Pbam, No. 55



(15)
Density functional theory data (r2SCAN) for crystalline Pu2TcB6 at its relaxed geometry.

```
Pu2TcB6
1.0
9.3043 0.0000 0.0000
0.0000 11.4476 0.0000
0.0000 0.0000 3.6841
Pu Tc B
8 4 24
direct
0.0476 0.1136 0.0000 Pu
0.1644 0.4095 0.0000 Pu
0.3356 0.9095 0.0000 Pu
0.4524 0.6136 0.0000 Pu
0.5476 0.3864 0.0000 Pu
0.6644 0.0905 0.0000 Pu
0.8356 0.5905 0.0000 Pu
0.9524 0.8864 0.0000 Pu
0.1446 0.6799 0.0000 Tc
0.3554 0.1799 0.0000 Tc
0.6446 0.8201 0.0000 Tc
0.8554 0.3201 0.0000 Tc
0.0117 0.2835 0.5000 B
0.0531 0.5690 0.5000 B
0.1369 0.9627 0.5000 B
0.1412 0.8118 0.5000 B
0.2006 0.2292 0.5000 B
0.2450 0.5790 0.5000 B
0.2550 0.0790 0.5000 B
0.2994 0.7292 0.5000 B
0.3588 0.3118 0.5000 B
0.3631 0.4627 0.5000 B
0.4469 0.0690 0.5000 B
0.4883 0.7835 0.5000 B
0.5117 0.2165 0.5000 B
0.5531 0.9310 0.5000 B
0.6369 0.5373 0.5000 B
0.6412 0.6882 0.5000 B
0.7006 0.2708 0.5000 B
0.7450 0.9210 0.5000 B
0.7550 0.4210 0.5000 B
0.7994 0.7708 0.5000 B
0.8588 0.1882 0.5000 B
0.8631 0.0373 0.5000 B
0.9469 0.4310 0.5000 B
0.9883 0.7165 0.5000 B
```

Calculated values
Crystal system: orthorhombic
Energy of formation from the pure elements (eV/atom): -0.62
Space-group type: Pbam, No. 55



(16)
Density functional theory data (r2SCAN) for crystalline Rb4B9S9 at its relaxed geometry.

```
Rb4B9S9
1.0
10.0794 0.0000 0.0000
-3.3825 9.6119 0.0000
-2.7130 -1.2804 10.2653
Rb B S
8 18 18
direct
0.1153 0.3754 0.1303 Rb
0.1463 0.0072 0.3743 Rb
0.2522 0.6219 0.4716 Rb
0.3186 0.3812 0.7524 Rb
0.6814 0.6188 0.2476 Rb
0.7478 0.3781 0.5284 Rb
0.8537 0.9928 0.6257 Rb
0.8847 0.6246 0.8697 Rb
0.1345 0.8186 0.6860 B
0.1676 0.7623 0.1443 B
0.3314 0.9666 0.0184 B
0.3673 0.8558 0.9119 B
0.3725 0.0248 0.8725 B
0.4257 0.2606 0.2541 B
0.4380 0.8633 0.0836 B
0.4506 0.1418 0.0219 B
0.4907 0.0409 0.1493 B
0.5093 0.9591 0.8507 B
0.5494 0.8582 0.9781 B
0.5620 0.1367 0.9164 B
0.5743 0.7394 0.7459 B
0.6275 0.9752 0.1275 B
0.6327 0.1442 0.0881 B
0.6686 0.0334 0.9816 B
0.8324 0.2377 0.8557 B
0.8655 0.1814 0.3140 B
0.0169 0.2598 0.4515 S
0.0228 0.6585 0.2026 S
0.1516 0.9103 0.0544 S
0.2143 0.7125 0.7976 S
0.2201 0.0126 0.7256 S
0.3396 0.7241 0.1701 S
0.4038 0.3743 0.3672 S
0.4064 0.2916 0.0807 S
0.4746 0.1074 0.3056 S
0.5254 0.8926 0.6944 S
0.5936 0.7084 0.9193 S
0.5962 0.6257 0.6328 S
0.6604 0.2759 0.8299 S
0.7799 0.9874 0.2744 S
0.7857 0.2875 0.2024 S
0.8484 0.0897 0.9456 S
0.9772 0.3415 0.7974 S
0.9831 0.7402 0.5485 S
```

Calculated values
Crystal system: triclinic
Energy of formation from the pure elements (eV/atom): -0.87
Space-group type: P-1, No. 2